# 1
The following is a PBE calculation of crystalline NaMg2H3S2O8 at its relaxed geometry, from the Materials Project database.

Unit cell a=6.395 b=7.927 c=9.018 alpha=97.58 beta=110.70 gamma=113.57
Space group P-1 (No. 2)
Asymmetric unit:
Na 0.041 0.169 0.406 x2
Mg 0.000 0.000 0.000 x1
Mg 0.320 0.827 0.313 x2
Mg 0.500 0.000 0.000 x1
H 0.040 0.559 0.772 x2
H 0.113 0.719 0.004 x2
H 0.209 0.440 0.226 x2
S 0.270 0.253 0.792 x2
S 0.434 0.704 0.663 x2
O 0.002 0.803 0.332 x2
O 0.115 0.516 0.215 x2
O 0.215 0.855 0.074 x2
O 0.228 0.085 0.872 x2
O 0.290 0.248 0.222 x2
O 0.320 0.753 0.778 x2
O 0.371 0.204 0.671 x2
O 0.471 0.864 0.577 x2

Computed properties:
Formation energy (meV/atom): -2037

***

# 2
The following is a PBE calculation of crystalline AlCr4CuSe8 at its relaxed geometry, from the Materials Project database.

Unit cell a=10.571 b=10.571 c=10.571 alpha=90.00 beta=90.00 gamma=90.00
Space group F-43m (No. 216)
Asymmetric unit:
Al 0.000 0.000 0.000 x4
Cr 0.121 0.121 0.379 x16
Cu 0.250 0.250 0.750 x4
Se 0.117 0.117 0.617 x16
Se 0.134 0.134 0.134 x16

Computed properties:
Formation energy (meV/atom): -842

***

# 3
The following is a PBE calculation of crystalline Sr11In3Ga4 at its relaxed geometry, from the Materials Project database.

Unit cell a=17.458 b=17.458 c=17.458 alpha=90.00 beta=90.00 gamma=90.00
Space group Fm-3m (No. 225)
Asymmetric unit:
Sr 0.000 0.000 0.000 x4
Sr 0.000 0.000 0.500 x4
Sr 0.000 0.168 0.168 x48
Sr 0.133 0.133 0.367 x32
In 0.000 0.000 0.283 x24
Ga 0.194 0.194 0.194 x32

Computed properties:
Formation energy (meV/atom): -356

***

# 4
The following is a PBE calculation of crystalline CeAlCo4 at its relaxed geometry, from the Materials Project database.

Unit cell a=5.0956 b=5.0956 c=3.8596 alpha=90.00 beta=90.00 gamma=120.00
Space group P-6m2 (No. 187)
Asymmetric unit:
Ce 0.0000 0.0000 0.0000 x1
Al 0.3333 0.6667 0.0000 x1
Co 0.5033 0.0067 0.5000 x3
Co 0.6667 0.3333 0.0000 x1

Computed properties:
Formation energy (meV/atom): -228

***

# 5
The following is a PBE calculation of crystalline Mg5Si9 at its relaxed geometry, from the Materials Project database.

Unit cell a=5.495 b=7.091 c=13.590 alpha=96.85 beta=100.56 gamma=107.86
Space group P1 (No. 1)
Asymmetric unit:
Mg 0.000 0.000 0.000 x1
Mg 0.009 0.409 0.949 x1
Mg 0.160 0.447 0.718 x1
Mg 0.371 0.102 0.219 x1
Mg 0.416 0.678 0.520 x1
Mg 0.434 0.788 0.085 x1
Mg 0.444 0.218 0.577 x1
Mg 0.563 0.555 0.923 x1
Mg 0.921 0.317 0.162 x1
Mg 0.942 0.863 0.443 x1
Si 0.148 0.134 0.829 x1
Si 0.168 0.705 0.292 x1
Si 0.172 0.768 0.863 x1
Si 0.200 0.259 0.379 x1
Si 0.217 0.876 0.658 x1
Si 0.418 0.385 0.097 x1
Si 0.472 0.515 0.282 x1
Si 0.508 0.009 0.402 x1
Si 0.543 0.118 0.978 x1
Si 0.583 0.250 0.783 x1
Si 0.589 0.878 0.803 x1
Si 0.737 0.599 0.736 x1
Si 0.821 0.978 0.259 x1
Si 0.851 0.010 0.651 x1
Si 0.863 0.563 0.554 x1
Si 0.875 0.459 0.365 x1
Si 0.927 0.238 0.521 x1
Si 0.936 0.733 0.128 x1

Computed properties:
Formation energy (meV/atom): 232

***

# 6
The following is a PBE calculation of crystalline Pu3Np at its relaxed geometry, from the Materials Project database.

Unit cell a=4.522 b=4.522 c=8.943 alpha=90.00 beta=90.00 gamma=90.00
Space group I4/mmm (No. 139)
Asymmetric unit:
Pu 0.000 0.000 0.000 x2
Pu 0.000 0.500 0.250 x4
Np 0.000 0.000 0.500 x2

Computed properties:
Formation energy (meV/atom): 205